one) VP4O12 after structural relaxation, computed with GGA+U.

## Properties
M_tot, μB/f.u.: 1.00

CIF file:
```
data_VP4O12
_space_group_name_H-M_alt 'P 1'
_space_group_IT_number 1
_cell_length_a 6.973
_cell_length_b 6.973
_cell_length_c 9.441
_cell_angle_alpha 91.81
_cell_angle_beta 91.81
_cell_angle_gamma 108.49
loop_
_space_group_symop_operation_xyz
'x,y,z'
loop_
_atom_site_label
_atom_site_type_symbol
_atom_site_fract_x
_atom_site_fract_y
_atom_site_fract_z
_atom_site_occupancy
V1 V 0.111 0.889 0.750 1
V2 V 0.889 0.111 0.250 1
P1 P 0.209 0.274 0.529 1
P2 P 0.274 0.209 0.029 1
P3 P 0.280 0.634 0.967 1
P4 P 0.366 0.720 0.533 1
P5 P 0.634 0.280 0.467 1
P6 P 0.720 0.366 0.033 1
P7 P 0.726 0.791 0.971 1
P8 P 0.791 0.726 0.471 1
O1 O 0.057 0.271 0.410 1
O2 O 0.132 0.133 0.648 1
O3 O 0.133 0.132 0.148 1
O4 O 0.135 0.662 0.848 1
O5 O 0.224 0.390 0.956 1
O6 O 0.271 0.057 0.910 1
O7 O 0.276 0.717 0.391 1
O8 O 0.283 0.724 0.109 1
O9 O 0.300 0.494 0.601 1
O10 O 0.338 0.865 0.652 1
O11 O 0.390 0.224 0.456 1
O12 O 0.494 0.300 0.101 1
O13 O 0.506 0.700 0.899 1
O14 O 0.610 0.776 0.544 1
O15 O 0.662 0.135 0.348 1
O16 O 0.700 0.506 0.399 1
O17 O 0.717 0.276 0.891 1
O18 O 0.724 0.283 0.609 1
O19 O 0.729 0.943 0.090 1
O20 O 0.776 0.610 0.044 1
O21 O 0.865 0.338 0.152 1
O22 O 0.867 0.868 0.852 1
O23 O 0.868 0.867 0.352 1
O24 O 0.943 0.729 0.590 1
```

two) VP4O12 after structural relaxation, computed with GGA+U.

## Properties
Maximum piezoelectric response, C/m²: 0.1

CIF file:
```
data_VP4O12
_space_group_name_H-M_alt 'P 1'
_space_group_IT_number 1
_cell_length_a 5.173
_cell_length_b 13.673
_cell_length_c 7.157
_cell_angle_alpha 90.00
_cell_angle_beta 98.92
_cell_angle_gamma 90.00
loop_
_space_group_symop_operation_xyz
'x,y,z'
loop_
_atom_site_label
_atom_site_type_symbol
_atom_site_fract_x
_atom_site_fract_y
_atom_site_fract_z
_atom_site_occupancy
V1 V 0.014 0.000 0.005 1
V2 V 0.986 0.500 0.995 1
P1 P 0.277 0.590 0.388 1
P2 P 0.362 0.934 0.405 1
P3 P 0.472 0.361 0.949 1
P4 P 0.498 0.140 0.954 1
P5 P 0.502 0.640 0.046 1
P6 P 0.528 0.861 0.051 1
P7 P 0.638 0.434 0.595 1
P8 P 0.723 0.090 0.612 1
O1 O 0.118 0.515 0.251 1
O2 O 0.133 0.667 0.467 1
O3 O 0.134 0.978 0.263 1
O4 O 0.200 0.376 0.995 1
O5 O 0.226 0.122 0.000 1
O6 O 0.283 0.581 0.937 1
O7 O 0.301 0.878 0.566 1
O8 O 0.318 0.928 0.950 1
O9 O 0.434 0.752 0.001 1
O10 O 0.448 0.527 0.549 1
O11 O 0.468 0.369 0.726 1
O12 O 0.496 0.129 0.732 1
O13 O 0.504 0.629 0.268 1
O14 O 0.532 0.869 0.274 1
O15 O 0.552 0.027 0.451 1
O16 O 0.566 0.252 0.999 1
O17 O 0.682 0.428 0.050 1
O18 O 0.699 0.378 0.434 1
O19 O 0.717 0.081 0.063 1
O20 O 0.774 0.622 0.000 1
O21 O 0.800 0.876 0.005 1
O22 O 0.866 0.478 0.737 1
O23 O 0.867 0.167 0.533 1
O24 O 0.882 0.015 0.749 1
```

Energy relative to the most stable one, in eV/atom: one) 0.024; two) 0.000

one) VP4O12 after structural relaxation, computed with GGA+U.

## Properties
M_tot, μB/f.u.: 1.00

CIF file:
```
data_VP4O12
_space_group_name_H-M_alt 'P 1'
_space_group_IT_number 1
_cell_length_a 8.390
_cell_length_b 8.390
_cell_length_c 7.790
_cell_angle_alpha 97.90
_cell_angle_beta 97.90
_cell_angle_gamma 109.30
loop_
_space_group_symop_operation_xyz
'x,y,z'
loop_
_atom_site_label
_atom_site_type_symbol
_atom_site_fract_x
_atom_site_fract_y
_atom_site_fract_z
_atom_site_occupancy
V1 V 0.133 0.867 0.750 1
V2 V 0.867 0.133 0.250 1
P1 P 0.042 0.206 0.671 1
P2 P 0.206 0.042 0.171 1
P3 P 0.250 0.575 0.879 1
P4 P 0.425 0.750 0.621 1
P5 P 0.575 0.250 0.379 1
P6 P 0.750 0.425 0.121 1
P7 P 0.794 0.958 0.829 1
P8 P 0.958 0.794 0.329 1
O1 O 0.002 0.748 0.505 1
O2 O 0.081 0.139 0.172 1
O3 O 0.116 0.654 0.809 1
O4 O 0.129 0.871 0.250 1
O5 O 0.139 0.081 0.672 1
O6 O 0.149 0.370 0.815 1
O7 O 0.252 0.998 0.995 1
O8 O 0.326 0.616 0.066 1
O9 O 0.346 0.884 0.691 1
O10 O 0.370 0.149 0.315 1
O11 O 0.384 0.674 0.434 1
O12 O 0.388 0.612 0.750 1
O13 O 0.612 0.388 0.250 1
O14 O 0.616 0.326 0.566 1
O15 O 0.630 0.851 0.685 1
O16 O 0.654 0.116 0.309 1
O17 O 0.674 0.384 0.934 1
O18 O 0.748 0.002 0.005 1
O19 O 0.851 0.630 0.185 1
O20 O 0.861 0.919 0.328 1
O21 O 0.871 0.129 0.750 1
O22 O 0.884 0.346 0.191 1
O23 O 0.919 0.861 0.828 1
O24 O 0.998 0.252 0.495 1
```

two) VP4O12 after structural relaxation, computed with GGA+U.

## Properties
M_tot, μB/f.u.: 1.00

CIF file:
```
data_VP4O12
_space_group_name_H-M_alt 'P 1'
_space_group_IT_number 1
_cell_length_a 8.375
_cell_length_b 8.375
_cell_length_c 9.643
_cell_angle_alpha 117.07
_cell_angle_beta 117.07
_cell_angle_gamma 52.05
loop_
_space_group_symop_operation_xyz
'x,y,z'
loop_
_atom_site_label
_atom_site_type_symbol
_atom_site_fract_x
_atom_site_fract_y
_atom_site_fract_z
_atom_site_occupancy
V1 V 0.144 0.856 0.750 1
V2 V 0.856 0.144 0.250 1
P1 P 0.031 0.701 0.339 1
P2 P 0.299 0.969 0.161 1
P3 P 0.303 0.440 0.857 1
P4 P 0.440 0.303 0.357 1
P5 P 0.560 0.697 0.643 1
P6 P 0.697 0.560 0.143 1
P7 P 0.701 0.031 0.839 1
P8 P 0.969 0.299 0.661 1
O1 O 0.020 0.127 0.715 1
O2 O 0.045 0.750 0.513 1
O3 O 0.127 0.020 0.215 1
O4 O 0.140 0.361 0.771 1
O5 O 0.223 0.600 0.769 1
O6 O 0.235 0.497 0.285 1
O7 O 0.250 0.955 0.987 1
O8 O 0.337 0.501 0.032 1
O9 O 0.361 0.140 0.271 1
O10 O 0.400 0.777 0.731 1
O11 O 0.497 0.235 0.785 1
O12 O 0.499 0.663 0.468 1
O13 O 0.501 0.337 0.532 1
O14 O 0.503 0.765 0.215 1
O15 O 0.600 0.223 0.269 1
O16 O 0.639 0.860 0.729 1
O17 O 0.663 0.499 0.968 1
O18 O 0.750 0.045 0.013 1
O19 O 0.765 0.503 0.715 1
O20 O 0.777 0.400 0.231 1
O21 O 0.860 0.639 0.229 1
O22 O 0.873 0.980 0.785 1
O23 O 0.955 0.250 0.487 1
O24 O 0.980 0.873 0.285 1
```

Energy relative to the most stable one, in eV/atom: one) 0.000; two) 0.014